Na6W10O33 (GGA+U, optimized geometry); formation energy from the elements = -2.147 eV per atom; total magnetization = 0.0 μB per cell; SG = No. 2
1.0
-3.434 6.782 1.445
-4.819 -2.027 6.377
4.983 4.477 10.344
W Na O
10 6 33
direct
0.554 0.773 0.500
0.289 0.390 0.020
0.949 0.230 0.493
0.323 0.068 0.319
0.711 0.610 0.980
0.281 0.983 0.028
0.719 0.017 0.972
0.051 0.770 0.507
0.446 0.227 0.500
0.677 0.932 0.681
0.633 0.387 0.760
0.367 0.613 0.240
0.856 0.156 0.228
0.144 0.844 0.772
0.104 0.343 0.785
0.896 0.657 0.215
0.779 0.992 0.105
0.939 0.966 0.620
0.146 0.185 0.075
0.888 0.471 0.921
0.849 0.179 0.863
0.388 0.925 0.229
0.667 0.713 0.371
0.481 0.156 0.993
0.672 0.725 0.791
0.221 0.008 0.895
0.500 0.500 0.000
0.328 0.275 0.209
0.898 0.344 0.598
0.487 0.421 0.387
0.519 0.844 0.007
0.465 0.941 0.622
0.782 0.813 0.530
0.112 0.529 0.079
0.513 0.579 0.613
0.102 0.656 0.402
0.063 0.615 0.643
0.151 0.821 0.137
0.937 0.385 0.357
0.699 0.163 0.522
0.333 0.287 0.629
0.535 0.059 0.378
0.612 0.075 0.771
0.854 0.815 0.925
0.061 0.034 0.380
0.709 0.543 0.133
0.291 0.457 0.867
0.301 0.837 0.478
0.218 0.187 0.470